(1)
A plane-wave DFT calculation with meta-GGA r2SCAN was carried out for a geometry-optimized SrHfN2 structure.

Structure (CIF):
```
data_SrHfN2
_chemical_formula_sum 'Sr2 Hf2 N4'
_cell_length_a 4.021
_cell_length_b 4.021
_cell_length_c 8.221
_cell_angle_alpha 90.00
_cell_angle_beta 90.00
_cell_angle_gamma 90.00
_symmetry_space_group_name_H-M 'P 4/n m m'
_symmetry_Int_Tables_number 129
loop_
_symmetry_equiv_pos_as_xyz
'x,y,z'
'-x,-y,-z'
'-y+1/2,x,z'
'y+1/2,-x,-z'
'-x+1/2,-y+1/2,z'
'x+1/2,y+1/2,-z'
'y,-x+1/2,z'
'-y,x+1/2,-z'
'x+1/2,-y,-z'
'-x+1/2,y,z'
'-y,-x,-z'
'y,x,z'
'-x,y+1/2,-z'
'x,-y+1/2,z'
'y+1/2,x+1/2,-z'
'-y+1/2,-x+1/2,z'
loop_
_atom_site_label
_atom_site_type_symbol
_atom_site_fract_x
_atom_site_fract_y
_atom_site_fract_z
Sr1 Sr 0.250 0.250 0.143
Hf1 Hf 0.250 0.250 0.592
N1 N 0.250 0.250 0.834
N2 N 0.250 0.750 0.500
```

E_tot, eV/atom: -21.310
Formation energy, eV/atom: -1.67
Magnetization, μB/cell: 0.000

***

(2)
A plane-wave DFT calculation with meta-GGA r2SCAN was carried out for a geometry-optimized Li15Si4 structure.

Structure (CIF):
```
data_Li15Si4
_chemical_formula_sum 'Li60 Si16'
_cell_length_a 10.556
_cell_length_b 10.556
_cell_length_c 10.556
_cell_angle_alpha 90.00
_cell_angle_beta 90.00
_cell_angle_gamma 90.00
_symmetry_space_group_name_H-M 'I -4 3 d'
_symmetry_Int_Tables_number 220
_symmetry_space_group_name_Hall 'I -4bd 2c 3'
loop_
_atom_site_label
_atom_site_type_symbol
_atom_site_fract_x
_atom_site_fract_y
_atom_site_fract_z
Li1 Li 0.000 0.250 0.875
Li2 Li 0.038 0.123 0.652
Si1 Si 0.043 0.043 0.043
```

E_tot, eV/atom: -3.994
Formation energy, eV/atom: -0.26
Magnetization, μB/cell: 0.000

***

(3)
A plane-wave DFT calculation with meta-GGA r2SCAN was carried out for a geometry-optimized Er2S3O12 structure.

Structure (CIF):
```
data_Er2S3O12
_chemical_formula_sum 'Er8 S12 O48'
_cell_length_a 12.694
_cell_length_b 9.149
_cell_length_c 9.207
_cell_angle_alpha 90.00
_cell_angle_beta 90.00
_cell_angle_gamma 90.00
_symmetry_space_group_name_H-M 'P b c n'
_symmetry_Int_Tables_number 60
loop_
_symmetry_equiv_pos_as_xyz
'x,y,z'
'-x,-y,-z'
'-x+1/2,-y+1/2,z+1/2'
'x+1/2,y+1/2,-z+1/2'
'x+1/2,-y+1/2,-z'
'-x+1/2,y+1/2,z'
'-x,y,-z+1/2'
'x,-y,z+1/2'
loop_
_atom_site_label
_atom_site_type_symbol
_atom_site_fract_x
_atom_site_fract_y
_atom_site_fract_z
Er1 Er 0.118 0.250 0.036
S1 S 0.000 0.034 0.750
S2 S 0.146 0.393 0.388
O1 O 0.041 0.337 0.423
O2 O 0.060 0.127 0.849
O3 O 0.074 0.058 0.168
O4 O 0.147 0.448 0.907
O5 O 0.173 0.358 0.238
O6 O 0.222 0.327 0.487
```

E_tot, eV/atom: -11.989
Formation energy, eV/atom: -2.36
Magnetization, μB/cell: 0.000

***

(4)
A plane-wave DFT calculation with meta-GGA r2SCAN was carried out for a geometry-optimized SbCl3F2 structure.

Structure (CIF):
```
data_SbCl3F2
_chemical_formula_sum 'Sb8 Cl24 F16'
_cell_length_a 13.085
_cell_length_b 13.085
_cell_length_c 7.114
_cell_angle_alpha 90.00
_cell_angle_beta 90.00
_cell_angle_gamma 90.00
_symmetry_space_group_name_H-M 'I 4'
_symmetry_Int_Tables_number 79
loop_
_symmetry_equiv_pos_as_xyz
'x,y,z'
'-y,x,z'
'-x,-y,z'
'y,-x,z'
'x+1/2,y+1/2,z+1/2'
'-y+1/2,x+1/2,z+1/2'
'-x+1/2,-y+1/2,z+1/2'
'y+1/2,-x+1/2,z+1/2'
loop_
_atom_site_label
_atom_site_type_symbol
_atom_site_fract_x
_atom_site_fract_y
_atom_site_fract_z
Sb1 Sb 0.046 0.219 0.000
Cl1 Cl 0.040 0.195 0.320
Cl2 Cl 0.061 0.643 0.983
Cl3 Cl 0.201 0.702 0.487
F1 F 0.042 0.194 0.740
F2 F 0.078 0.880 0.992
```

E_tot, eV/atom: -9.833
Formation energy, eV/atom: -1.43
Magnetization, μB/cell: 0.000

***

(5)
A plane-wave DFT calculation with meta-GGA r2SCAN was carried out for a geometry-optimized Tl2SnF6 structure.

Structure (CIF):
```
data_Tl2SnF6
_chemical_formula_sum 'Tl2 Sn1 F6'
_cell_length_a 6.0064
_cell_length_b 6.0064
_cell_length_c 4.8076
_cell_angle_alpha 90.00
_cell_angle_beta 90.00
_cell_angle_gamma 120.00
_symmetry_space_group_name_H-M 'P -3 m 1'
_symmetry_Int_Tables_number 164
_symmetry_space_group_name_Hall '-P 3 2"'
loop_
_atom_site_label
_atom_site_type_symbol
_atom_site_fract_x
_atom_site_fract_y
_atom_site_fract_z
Tl1 Tl 0.3333 0.6667 0.1862
Sn1 Sn 0.0000 0.0000 0.5000
F1 F 0.1589 0.3178 0.7288
```

E_tot, eV/atom: -19.082
Formation energy, eV/atom: -2.43
Magnetization, μB/cell: 0.000

***

(6)
A plane-wave DFT calculation with meta-GGA r2SCAN was carried out for a geometry-optimized Mg5Tl2 structure.

Structure (CIF):
```
data_Mg5Tl2
_chemical_formula_sum 'Mg10 Tl4'
_cell_length_a 6.214
_cell_length_b 7.333
_cell_length_c 8.498
_cell_angle_alpha 115.51
_cell_angle_beta 111.34
_cell_angle_gamma 90.03
_symmetry_space_group_name_H-M 'P -1'
_symmetry_Int_Tables_number 2
loop_
_symmetry_equiv_pos_as_xyz
'x,y,z'
'-x,-y,-z'
loop_
_atom_site_label
_atom_site_type_symbol
_atom_site_fract_x
_atom_site_fract_y
_atom_site_fract_z
Mg1 Mg 0.016 0.267 0.034
Mg2 Mg 0.089 0.251 0.675
Mg3 Mg 0.249 0.499 0.498
Mg4 Mg 0.411 0.074 0.324
Mg5 Mg 0.481 0.730 0.963
Tl1 Tl 0.123 0.890 0.744
Tl2 Tl 0.378 0.647 0.257
```

E_tot, eV/atom: -18.225
Formation energy, eV/atom: -0.05
Magnetization, μB/cell: 0.000

***

Which value of formation energy does entry 6 give?
-0.05 eV/atom

***

Look up the formation energy of the sixth one.
-0.05 eV/atom

***

Copy entry 4 word for word.
A plane-wave DFT calculation with meta-GGA r2SCAN was carried out for a geometry-optimized SbCl3F2 structure.

Structure (CIF):
```
data_SbCl3F2
_chemical_formula_sum 'Sb8 Cl24 F16'
_cell_length_a 13.085
_cell_length_b 13.085
_cell_length_c 7.114
_cell_angle_alpha 90.00
_cell_angle_beta 90.00
_cell_angle_gamma 90.00
_symmetry_space_group_name_H-M 'I 4'
_symmetry_Int_Tables_number 79
loop_
_symmetry_equiv_pos_as_xyz
'x,y,z'
'-y,x,z'
'-x,-y,z'
'y,-x,z'
'x+1/2,y+1/2,z+1/2'
'-y+1/2,x+1/2,z+1/2'
'-x+1/2,-y+1/2,z+1/2'
'y+1/2,-x+1/2,z+1/2'
loop_
_atom_site_label
_atom_site_type_symbol
_atom_site_fract_x
_atom_site_fract_y
_atom_site_fract_z
Sb1 Sb 0.046 0.219 0.000
Cl1 Cl 0.040 0.195 0.320
Cl2 Cl 0.061 0.643 0.983
Cl3 Cl 0.201 0.702 0.487
F1 F 0.042 0.194 0.740
F2 F 0.078 0.880 0.992
```

E_tot, eV/atom: -9.833
Formation energy, eV/atom: -1.43
Magnetization, μB/cell: 0.000

***

Please write out number 6 again, unchanged.
A plane-wave DFT calculation with meta-GGA r2SCAN was carried out for a geometry-optimized Mg5Tl2 structure.

Structure (CIF):
```
data_Mg5Tl2
_chemical_formula_sum 'Mg10 Tl4'
_cell_length_a 6.214
_cell_length_b 7.333
_cell_length_c 8.498
_cell_angle_alpha 115.51
_cell_angle_beta 111.34
_cell_angle_gamma 90.03
_symmetry_space_group_name_H-M 'P -1'
_symmetry_Int_Tables_number 2
loop_
_symmetry_equiv_pos_as_xyz
'x,y,z'
'-x,-y,-z'
loop_
_atom_site_label
_atom_site_type_symbol
_atom_site_fract_x
_atom_site_fract_y
_atom_site_fract_z
Mg1 Mg 0.016 0.267 0.034
Mg2 Mg 0.089 0.251 0.675
Mg3 Mg 0.249 0.499 0.498
Mg4 Mg 0.411 0.074 0.324
Mg5 Mg 0.481 0.730 0.963
Tl1 Tl 0.123 0.890 0.744
Tl2 Tl 0.378 0.647 0.257
```

E_tot, eV/atom: -18.225
Formation energy, eV/atom: -0.05
Magnetization, μB/cell: 0.000